Entry 1:
Ba4Na3Nd3P6O24F2 | the Materials Project database | GGA-PBE | relaxed; total energy = -603.23 eV/cell; size of the total moment = 0.0001 μB per atom; energy relative to the elements = -138.02 eV/f.u.
1.0
9.827 0.000 0.000
-4.890 8.546 0.000
-0.013 -0.021 14.596
P Nd Ba Na O F
12 6 8 6 48 4
Direct
0.590 0.971 0.126 P
0.030 0.616 0.620 P
0.375 0.403 0.112 P
0.607 0.582 0.879 P
0.029 0.616 0.120 P
0.976 0.376 0.884 P
0.417 0.025 0.379 P
0.962 0.370 0.382 P
0.618 0.593 0.382 P
0.411 0.038 0.881 P
0.596 0.976 0.613 P
0.379 0.410 0.625 P
0.332 0.666 0.013 Nd
0.668 0.333 0.490 Nd
0.767 0.997 0.364 Nd
0.223 0.241 0.862 Nd
0.329 0.660 0.514 Nd
0.669 0.332 0.990 Nd
0.753 0.982 0.869 Ba
0.230 0.252 0.366 Ba
0.021 0.770 0.369 Ba
0.248 0.022 0.130 Ba
0.257 0.023 0.630 Ba
0.772 0.755 0.629 Ba
0.763 0.746 0.133 Ba
0.016 0.765 0.869 Ba
0.991 0.264 0.642 Na
0.330 0.663 0.760 Na
0.669 0.330 0.237 Na
0.993 0.266 0.138 Na
0.674 0.334 0.737 Na
0.329 0.663 0.259 Na
0.852 0.499 0.108 O
0.517 0.402 0.861 O
0.253 0.300 0.185 O
0.151 0.506 0.895 O
0.981 0.262 0.811 O
0.410 0.866 0.142 O
0.635 0.144 0.112 O
0.493 0.647 0.892 O
0.489 0.638 0.396 O
0.127 0.536 0.140 O
0.716 0.612 0.470 O
0.871 0.446 0.856 O
0.632 0.147 0.608 O
0.309 0.059 0.807 O
0.128 0.536 0.640 O
0.853 0.498 0.607 O
0.356 0.862 0.891 O
0.682 0.956 0.208 O
0.324 0.048 0.302 O
0.386 0.113 0.969 O
0.277 0.377 0.537 O
0.508 0.360 0.110 O
0.448 0.582 0.135 O
0.138 0.492 0.391 O
0.626 0.912 0.521 O
0.270 0.315 0.706 O
0.733 0.712 0.311 O
0.710 0.607 0.967 O
0.901 0.281 0.973 O
0.548 0.419 0.354 O
0.355 0.848 0.392 O
0.589 0.135 0.859 O
0.598 0.116 0.362 O
0.457 0.590 0.642 O
0.047 0.734 0.696 O
0.104 0.717 0.531 O
0.044 0.732 0.196 O
0.722 0.675 0.801 O
0.504 0.359 0.613 O
0.698 0.962 0.689 O
0.417 0.866 0.634 O
0.863 0.449 0.361 O
0.293 0.379 0.017 O
0.392 0.104 0.466 O
0.626 0.899 0.040 O
0.890 0.267 0.470 O
0.943 0.251 0.305 O
0.103 0.717 0.032 O
0.039 0.032 0.955 F
0.964 0.992 0.456 F
0.984 0.993 0.261 F
0.019 0.008 0.760 F


Entry 2:
BaNaCeSbO6 | the Materials Project database | GGA-PBE | relaxed; total energy = -67.07 eV/cell; size of the total moment = 0.0000 μB per atom; energy relative to the elements = -28.20 eV/f.u.
1.0
2.111 4.198 -3.733
-3.532 2.237 -4.305
-2.001 5.644 0.392
O Na Ce Ba Sb
6 1 1 1 1
Direct
0.263 0.737 0.263 O
0.737 0.737 0.263 O
0.263 0.737 0.737 O
0.737 0.263 0.737 O
0.737 0.263 0.263 O
0.263 0.263 0.737 O
0.250 0.250 0.250 Na
0.000 0.000 0.000 Ce
0.750 0.750 0.750 Ba
0.500 0.500 0.500 Sb


Entry 3:
Na4UO5 | the Materials Project database | GGA-PBE | relaxed; total energy = -64.76 eV/cell; energy relative to the elements = -26.88 eV/f.u.
1.0
-3.218 -4.824 1.195
0.673 5.237 2.678
-2.850 1.818 -4.861
Na U O
4 1 5
Direct
0.397 0.198 0.594 Na
0.603 0.802 0.406 Na
0.198 0.603 0.801 Na
0.802 0.397 0.199 Na
0.000 0.000 0.000 U
0.500 0.500 0.000 O
0.075 0.254 0.329 O
0.254 0.925 0.179 O
0.925 0.746 0.671 O
0.746 0.075 0.821 O


Entry 4:
CeAlSi2 | the Materials Project database | GGA-PBE | relaxed; total energy = -44.92 eV/cell; size of the total moment = 0.0809 μB per atom; energy relative to the elements = -1.79 eV/f.u.
1.0
3.826 -0.700 -1.431
-3.279 -1.552 -2.005
-0.600 9.071 -6.040
Ce Al Si
2 2 4
Direct
0.000 0.000 0.821 Ce
0.000 0.000 0.179 Ce
0.333 0.667 0.414 Al
0.667 0.333 0.586 Al
0.667 0.333 0.351 Si
0.667 0.333 0.997 Si
0.333 0.667 0.649 Si
0.333 0.667 0.003 Si


Entry 5:
Mg2Ir3 | the Materials Project database | GGA-PBE | relaxed; total energy = -157.52 eV/cell; energy relative to the elements = -1.79 eV/f.u.
1.0
2.625 9.355 0.000
-2.625 9.355 0.000
0.000 1.067 8.492
Mg Ir
10 15
Direct
0.720 0.720 0.086 Mg
0.291 0.291 0.553 Mg
0.021 0.021 0.819 Mg
0.709 0.709 0.447 Mg
0.423 0.423 0.992 Mg
0.577 0.577 0.008 Mg
0.979 0.979 0.181 Mg
0.446 0.446 0.383 Mg
0.554 0.554 0.617 Mg
0.280 0.280 0.914 Mg
0.130 0.130 0.030 Ir
0.418 0.917 0.773 Ir
0.216 0.216 0.258 Ir
0.175 0.643 0.702 Ir
0.136 0.136 0.535 Ir
0.784 0.784 0.742 Ir
0.083 0.582 0.227 Ir
0.643 0.175 0.702 Ir
0.582 0.083 0.227 Ir
0.825 0.357 0.298 Ir
0.000 0.000 0.500 Ir
0.917 0.418 0.773 Ir
0.870 0.870 0.970 Ir
0.864 0.864 0.465 Ir
0.357 0.825 0.298 Ir


Entry 6:
BaTaB | the Materials Project database | GGA-PBE | relaxed; total energy = -15.92 eV/cell; size of the total moment = 0.0010 μB per atom; energy relative to the elements = 4.53 eV/f.u.
1.0
-2.013 -3.917 -0.974
-1.737 -2.526 3.308
-4.473 -0.402 0.419
Ta B Ba
1 1 1
Direct
0.500 0.500 0.500 Ta
0.750 0.750 0.750 B
0.000 0.000 0.000 Ba